[1]
Ge3W5 | PBE | relaxed

abc: 6.424 6.424 7.581
angles: 115.07 115.07 90.00
Fractional positions:
W  0.000  0.000  0.000
W  0.496  0.322  0.319
W  0.322  0.822  0.319
Ge  0.363  0.863  0.000
W  0.822  0.996  0.319
W  0.004  0.504  0.681
Ge  0.863  0.637  0.000
W  0.678  0.178  0.681
Ge  0.137  0.363  0.000
W  0.178  0.004  0.681
Ge  0.750  0.750  0.500
W  0.500  0.500  0.000
W  0.996  0.496  0.319
Ge  0.250  0.250  0.500
Ge  0.637  0.137  0.000
W  0.504  0.678  0.681

Values from the calculation:
DFT total energy   -9.48 eV per atom
Symmetry   I4/mcm (140)

[2]
Ge3W5 | PBE | relaxed

abc: 5.059 7.446 7.446
angles: 83.37 70.14 70.14
Fractional positions:
Ge  0.670  0.500  0.161
W  0.731  0.695  0.844
W  0.426  0.844  0.305
Ge  0.750  0.000  0.000
Ge  0.830  0.839  0.500
W  0.574  0.156  0.695
W  0.269  0.305  0.156
W  0.074  0.695  0.156
Ge  0.250  0.000  0.000
W  0.750  0.500  0.500
W  0.231  0.844  0.695
W  0.769  0.156  0.305
Ge  0.170  0.161  0.500
Ge  0.330  0.500  0.839
W  0.926  0.305  0.844
W  0.250  0.500  0.500

Values from the calculation:
DFT total energy   -9.64 eV per atom
Symmetry   I4/mcm (140)

[3]
Y5Ge4 | PBE | relaxed

abc: 7.680 7.747 14.768
angles: 90.00 90.00 90.00
Fractional positions:
Ge  0.779  0.532  0.956
Y  0.785  0.502  0.750
Ge  0.916  0.883  0.750
Y  0.471  0.324  0.899
Y  0.715  0.002  0.250
Y  0.529  0.676  0.399
Y  0.621  0.839  0.883
Y  0.621  0.839  0.617
Y  0.971  0.176  0.899
Ge  0.416  0.617  0.750
Ge  0.335  0.863  0.250
Ge  0.221  0.468  0.456
Ge  0.165  0.363  0.750
Ge  0.584  0.383  0.250
Ge  0.721  0.032  0.044
Y  0.285  0.998  0.750
Ge  0.221  0.468  0.044
Y  0.471  0.324  0.601
Y  0.215  0.498  0.250
Y  0.879  0.339  0.383
Ge  0.084  0.117  0.250
Y  0.971  0.176  0.601
Ge  0.721  0.032  0.456
Y  0.121  0.661  0.883
Y  0.029  0.824  0.101
Y  0.121  0.661  0.617
Y  0.379  0.161  0.383
Ge  0.279  0.968  0.956
Y  0.379  0.161  0.117
Ge  0.779  0.532  0.544
Ge  0.665  0.137  0.750
Ge  0.279  0.968  0.544
Y  0.029  0.824  0.399
Y  0.529  0.676  0.101
Y  0.879  0.339  0.117
Ge  0.835  0.637  0.250

Values from the calculation:
DFT total energy   -6.53 eV per atom
Symmetry   Pnma (62)

[4]
Y3Ge5 | PBE | relaxed

abc: 11.120 9.187 7.488
angles: 82.98 55.08 41.94
Fractional positions:
Y  0.070  0.094  0.436
Y  0.156  0.180  0.850
Ge  0.944  0.056  0.944
Ge  0.276  0.353  0.523
Y  0.495  0.505  0.495
Ge  0.745  0.581  0.420
Y  0.436  0.400  0.070
Ge  0.420  0.254  0.745
Y  0.745  0.755  0.745
Ge  0.897  0.974  0.401
Ge  0.194  0.306  0.194
Ge  0.523  0.849  0.276
Ge  0.996  0.830  0.669
Y  0.850  0.814  0.156
Ge  0.669  0.505  0.996
Ge  0.401  0.727  0.897

Values from the calculation:
DFT total energy   -6.04 eV per atom
Symmetry   Fdd2 (43)

[5]
Y3Ge4 | PBE | relaxed

abc: 5.739 5.739 14.345
angles: 90.00 90.00 138.32
Fractional positions:
Ge  0.000  0.000  0.500
Y  0.045  0.955  0.250
Ge  0.619  0.381  0.109
Y  0.670  0.330  0.903
Ge  0.227  0.773  0.750
Ge  0.381  0.619  0.891
Ge  0.381  0.619  0.609
Ge  0.619  0.381  0.391
Y  0.330  0.670  0.097
Y  0.955  0.045  0.750
Ge  0.773  0.227  0.250
Y  0.330  0.670  0.403
Ge  0.000  0.000  0.000
Y  0.670  0.330  0.597

Values from the calculation:
DFT total energy   -6.22 eV per atom
Symmetry   Cmcm (63)

[6]
Y3Ge | PBE | relaxed

abc: 6.105 6.105 6.105
angles: 136.44 136.44 63.30
Fractional positions:
Y  0.500  0.500  0.000
Y  0.750  0.250  0.500
Ge  0.000  0.000  0.000
Y  0.250  0.750  0.500

Values from the calculation:
DFT total energy   -6.30 eV per atom
Symmetry   I4/mmm (139)

[7]
Y3Ge | PBE | relaxed

abc: 6.725 6.725 5.320
angles: 90.00 90.00 120.00
Fractional positions:
Y  0.826  0.174  0.750
Y  0.348  0.174  0.750
Y  0.174  0.348  0.250
Y  0.826  0.652  0.750
Ge  0.667  0.333  0.250
Ge  0.333  0.667  0.750
Y  0.174  0.826  0.250
Y  0.652  0.826  0.250

Values from the calculation:
DFT total energy   -6.30 eV per atom
Symmetry   P6_3/mmc (194)

[8]
YZnGe | PBE | relaxed

abc: 4.243 4.243 15.795
angles: 90.00 90.00 120.00
Fractional positions:
Y  0.000  0.000  0.500
Y  0.000  0.000  0.000
Ge  0.333  0.667  0.614
Zn  0.333  0.667  0.353
Y  0.000  0.000  0.750
Ge  0.333  0.667  0.886
Ge  0.667  0.333  0.386
Zn  0.667  0.333  0.853
Zn  0.667  0.333  0.647
Y  0.000  0.000  0.250
Zn  0.333  0.667  0.147
Ge  0.667  0.333  0.114

Values from the calculation:
DFT total energy   -4.80 eV per atom
Symmetry   P6_3/mmc (194)

no.,mass density (g/cm3),calculated volume (Å³/cell)
1,15.1,250.5
2,15.2,248.1
3,5.6,878.7
4,6.0,348.9
5,5.9,314.2
6,5.3,106.7
7,5.4,208.4
8,6.1,246.2